# 1
This record from the Materials Project describes a geometry-optimized CsLi3Cl4 structure. The functional is GGA-PBE.

a b c (Å): 15.6697 15.6697 5.0776
angles (deg): 90.00 90.00 162.46
Atoms (fractional coordinates):
Cs 0.6516 0.3484 0.7500
Cs 0.3484 0.6516 0.2500
Li 0.7745 0.2255 0.7500
Li 0.0677 0.9323 0.2500
Li 0.5308 0.4692 0.7500
Li 0.2255 0.7745 0.2500
Li 0.4692 0.5308 0.2500
Li 0.9323 0.0677 0.7500
Cl 0.8520 0.1480 0.7500
Cl 0.7519 0.2481 0.2500
Cl 0.5463 0.4537 0.2500
Cl 0.4537 0.5463 0.7500
Cl 0.0546 0.9454 0.7500
Cl 0.1480 0.8520 0.2500
Cl 0.2481 0.7519 0.7500
Cl 0.9454 0.0546 0.2500

Output
Energy in eV per atom: -3.59
Symmetry: Cmcm (63)

# 2
This record from the Materials Project describes a geometry-optimized Cs2LiCl3 structure. The functional is GGA-PBE.

a b c (Å): 11.9236 11.9236 7.8897
angles (deg): 90.00 90.00 159.35
Atoms (fractional coordinates):
Cs 0.9970 0.0030 0.2500
Cs 0.8218 0.1782 0.7500
Cs 0.1782 0.8218 0.2500
Cs 0.0030 0.9970 0.7500
Li 0.3522 0.6478 0.2500
Li 0.6478 0.3522 0.7500
Cl 0.2019 0.7981 0.7500
Cl 0.7981 0.2019 0.2500
Cl 0.4115 0.5885 0.0022
Cl 0.5885 0.4115 0.9978
Cl 0.4115 0.5885 0.4978
Cl 0.5885 0.4115 0.5022

Output
Energy in eV per atom: -3.43
Symmetry: Cmcm (63)

# 3
This record from the Materials Project describes a geometry-optimized Cs3Li2Cl5 structure. The functional is GGA-PBE.

a b c (Å): 12.8116 12.8116 4.2438
angles (deg): 80.47 80.47 147.15
Atoms (fractional coordinates):
Cs 0.6335 0.3843 0.7502
Cs 0.3843 0.6335 0.7502
Cs 0.0023 0.0023 0.2666
Li 0.8316 0.2668 0.7027
Li 0.2668 0.8316 0.7027
Cl 0.6871 0.2078 0.3048
Cl 0.8838 0.1280 0.7479
Cl 0.2078 0.6871 0.3048
Cl 0.1280 0.8838 0.7479
Cl 0.5045 0.5045 0.2516

Output
Energy in eV per atom: -3.45
Symmetry: Cm (8)

# 4
This record from the Materials Project describes a geometry-optimized Cs2LiLuCl6 structure. The functional is GGA-PBE.

a b c (Å): 7.4542 7.4542 7.4542
angles (deg): 60.00 60.00 60.00
Atoms (fractional coordinates):
Cs 0.7500 0.7500 0.7500
Cs 0.2500 0.2500 0.2500
Li 0.5000 0.5000 0.5000
Lu 0.0000 0.0000 0.0000
Cl 0.7538 0.2462 0.2462
Cl 0.2462 0.2462 0.7538
Cl 0.2462 0.7538 0.7538
Cl 0.2462 0.7538 0.2462
Cl 0.7538 0.2462 0.7538
Cl 0.7538 0.7538 0.2462

Output
Energy in eV per atom: -4.05
Symmetry: Fm-3m (225)

# 5
This record from the Materials Project describes a geometry-optimized Cs2LiMoCl6 structure. The functional is GGA-PBE.

a b c (Å): 7.3250 7.3250 7.3250
angles (deg): 60.00 60.00 60.00
Atoms (fractional coordinates):
Cs 0.7500 0.7500 0.7500
Cs 0.2500 0.2500 0.2500
Li 0.5000 0.5000 0.5000
Mo 0.0000 0.0000 0.0000
Cl 0.7605 0.2395 0.2395
Cl 0.2395 0.2395 0.7605
Cl 0.2395 0.7605 0.7605
Cl 0.2395 0.7605 0.2395
Cl 0.7605 0.2395 0.7605
Cl 0.7605 0.7605 0.2395

Output
Energy in eV per atom: -4.08
Symmetry: Fm-3m (225)

# 6
This record from the Materials Project describes a geometry-optimized Cs2LiNdCl6 structure. The functional is GGA-PBE.

a b c (Å): 7.6229 7.6229 7.6229
angles (deg): 60.00 60.00 60.00
Atoms (fractional coordinates):
Cs 0.7500 0.7500 0.7500
Cs 0.2500 0.2500 0.2500
Li 0.5000 0.5000 0.5000
Nd 0.0000 0.0000 0.0000
Cl 0.7458 0.2542 0.2542
Cl 0.2542 0.2542 0.7458
Cl 0.2542 0.7458 0.7458
Cl 0.2542 0.7458 0.2542
Cl 0.7458 0.2542 0.7458
Cl 0.7458 0.7458 0.2542

Output
Energy in eV per atom: -4.06
Symmetry: Fm-3m (225)

# 7
This record from the Materials Project describes a geometry-optimized Cs2LiScCl6 structure. The functional is GGA-PBE.

a b c (Å): 7.3623 7.3623 7.3623
angles (deg): 60.00 60.00 60.00
Atoms (fractional coordinates):
Cs 0.7500 0.7500 0.7500
Cs 0.2500 0.2500 0.2500
Li 0.5000 0.5000 0.5000
Sc 0.0000 0.0000 0.0000
Cl 0.7581 0.2419 0.2419
Cl 0.2419 0.2419 0.7581
Cl 0.2419 0.7581 0.7581
Cl 0.2419 0.7581 0.2419
Cl 0.7581 0.2419 0.7581
Cl 0.7581 0.7581 0.2419

Output
Energy in eV per atom: -4.16
Symmetry: Fm-3m (225)

# 8
This record from the Materials Project describes a geometry-optimized Cs2LiScCl6 structure. The functional is GGA-PBE.

a b c (Å): 12.8937 12.8937 12.8937
angles (deg): 33.61 33.61 33.61
Atoms (fractional coordinates):
Cs 0.8738 0.8738 0.8738
Cs 0.1262 0.1262 0.1262
Cs 0.7110 0.7110 0.7110
Cs 0.2890 0.2890 0.2890
Li 0.5888 0.5888 0.5888
Li 0.4112 0.4112 0.4112
Sc 0.0000 0.0000 0.0000
Sc 0.5000 0.5000 0.5000
Cl 0.3879 0.8489 0.3879
Cl 0.3879 0.3879 0.8489
Cl 0.8489 0.3879 0.3879
Cl 0.6121 0.1511 0.6121
Cl 0.6121 0.6121 0.1511
Cl 0.1511 0.6121 0.6121
Cl 0.1995 0.7195 0.1995
Cl 0.1995 0.1995 0.7195
Cl 0.7195 0.1995 0.1995
Cl 0.8005 0.2805 0.8005
Cl 0.8005 0.8005 0.2805
Cl 0.2805 0.8005 0.8005

Output
Energy in eV per atom: -4.17
Symmetry: R-3m (166)

Total moment (μB/atom)
0.00 0.00 0.00 0.00 0.30 0.00 0.00 0.00